# 1
# Ho2Co3Si5 | the Materials Project | PBE | optimized geometry
# - Energy relative to the elements: -0.74 eV/atom
# - Space group: Ibam
data_Ho2Co3Si5
_chemical_formula_sum 'Ho4 Co6 Si10'
_space_group_name_H-M_alt 'P 1'
_space_group_IT_number 1
_cell_length_a 7.889
_cell_length_b 7.889
_cell_length_c 7.889
_cell_angle_alpha 105.43
_cell_angle_beta 88.79
_cell_angle_gamma 139.02
loop_
_space_group_symop_operation_xyz
'x,y,z'
loop_
_atom_site_label
_atom_site_fract_x
_atom_site_fract_y
_atom_site_fract_z
Ho1 0.135 0.233 0.368
Ho2 0.365 0.733 0.098
Ho3 0.635 0.267 0.902
Ho4 0.865 0.767 0.632
Co1 0.138 0.891 0.029
Co2 0.250 0.750 0.500
Co3 0.362 0.391 0.753
Co4 0.638 0.609 0.247
Co5 0.750 0.250 0.500
Co6 0.862 0.109 0.971
Si1 0.024 0.750 0.274
Si2 0.101 0.659 0.760
Si3 0.250 0.250 0.000
Si4 0.399 0.159 0.558
Si5 0.476 0.750 0.726
Si6 0.524 0.250 0.274
Si7 0.601 0.841 0.442
Si8 0.750 0.750 0.000
Si9 0.899 0.341 0.240
Si10 0.976 0.250 0.726

***

# 2
# Li2Mg | the Materials Project | PBE | optimized geometry
# - Energy relative to the elements: -0.03 eV/atom
# - Space group: C2/m
data_Li2Mg
_chemical_formula_sum 'Li4 Mg2'
_space_group_name_H-M_alt 'P 1'
_space_group_IT_number 1
_cell_length_a 5.945
_cell_length_b 5.945
_cell_length_c 7.017
_cell_angle_alpha 105.82
_cell_angle_beta 105.82
_cell_angle_gamma 31.10
loop_
_space_group_symop_operation_xyz
'x,y,z'
loop_
_atom_site_label
_atom_site_fract_x
_atom_site_fract_y
_atom_site_fract_z
Li1 0.017 0.017 0.293
Li2 0.317 0.317 0.384
Li3 0.683 0.683 0.616
Li4 0.983 0.983 0.707
Mg1 0.354 0.354 0.948
Mg2 0.646 0.646 0.052

***

# 3
# PaAs | the Materials Project | PBE | optimized geometry
# - Energy relative to the elements: -1.05 eV/atom
# - Space group: Fm-3m
data_PaAs
_chemical_formula_sum 'Pa1 As1'
_space_group_name_H-M_alt 'P 1'
_space_group_IT_number 1
_cell_length_a 4.099
_cell_length_b 4.099
_cell_length_c 4.099
_cell_angle_alpha 60.00
_cell_angle_beta 60.00
_cell_angle_gamma 60.00
loop_
_space_group_symop_operation_xyz
'x,y,z'
loop_
_atom_site_label
_atom_site_fract_x
_atom_site_fract_y
_atom_site_fract_z
Pa1 0.000 0.000 0.000
As1 0.500 0.500 0.500

***

# 4
# Mg3Co | the Materials Project | PBE | optimized geometry
# - Spin magnetization: 0.29 μB per formula unit
# - Energy relative to the elements: 0.16 eV/atom
# - Space group: Fm-3m
data_Mg3Co
_chemical_formula_sum 'Mg3 Co1'
_space_group_name_H-M_alt 'P 1'
_space_group_IT_number 1
_cell_length_a 4.602
_cell_length_b 4.602
_cell_length_c 4.602
_cell_angle_alpha 60.00
_cell_angle_beta 60.00
_cell_angle_gamma 60.00
loop_
_space_group_symop_operation_xyz
'x,y,z'
loop_
_atom_site_label
_atom_site_fract_x
_atom_site_fract_y
_atom_site_fract_z
Mg1 0.000 0.000 0.000
Mg2 0.250 0.250 0.250
Mg3 0.750 0.750 0.750
Co1 0.500 0.500 0.500

***

# 5
# BaNa5Ca7P6O24F3 | the Materials Project | PBE | optimized geometry
# - Spin magnetization: 0.00 μB per formula unit
# - Energy relative to the elements: -3.21 eV/atom
# - Space group: P1
data_BaNa5Ca7P6O24F3
_chemical_formula_sum 'Ba2 Na10 Ca14 P12 O48 F6'
_space_group_name_H-M_alt 'P 1'
_space_group_IT_number 1
_cell_length_a 7.146
_cell_length_b 12.392
_cell_length_c 14.449
_cell_angle_alpha 81.66
_cell_angle_beta 75.84
_cell_angle_gamma 89.89
loop_
_space_group_symop_operation_xyz
'x,y,z'
loop_
_atom_site_label
_atom_site_fract_x
_atom_site_fract_y
_atom_site_fract_z
Ba1 0.000 0.000 0.000
Ba2 0.497 0.500 0.005
Na1 0.034 0.339 0.411
Na2 0.054 0.842 0.418
Na3 0.195 0.892 0.594
Na4 0.287 0.605 0.417
Na5 0.432 0.655 0.595
Na6 0.468 0.153 0.587
Na7 0.555 0.339 0.410
Na8 0.793 0.110 0.417
Na9 0.943 0.153 0.587
Na10 0.974 0.660 0.589
Ca1 0.092 0.536 0.815
Ca2 0.147 0.221 0.192
Ca3 0.162 0.720 0.191
Ca4 0.333 0.779 0.815
Ca5 0.345 0.276 0.818
Ca6 0.403 0.965 0.188
Ca7 0.527 0.843 0.417
Ca8 0.593 0.035 0.813
Ca9 0.647 0.719 0.188
Ca10 0.660 0.221 0.192
Ca11 0.705 0.391 0.590
Ca12 0.836 0.276 0.818
Ca13 0.850 0.780 0.813
Ca14 0.905 0.463 0.190
P1 0.012 0.338 0.975
P2 0.124 0.042 0.752
P3 0.187 0.398 0.626
P4 0.312 0.103 0.380
P5 0.373 0.458 0.253
P6 0.485 0.162 0.030
P7 0.512 0.837 0.975
P8 0.624 0.542 0.752
P9 0.689 0.896 0.623
P10 0.810 0.604 0.382
P11 0.874 0.958 0.253
P12 0.985 0.662 0.030
O1 0.022 0.343 0.594
O2 0.033 0.228 0.934
O3 0.041 0.681 0.917
O4 0.069 0.905 0.215
O5 0.104 0.917 0.791
O6 0.115 0.156 0.411
O7 0.129 0.376 0.741
O8 0.139 0.596 0.072
O9 0.179 0.060 0.641
O10 0.203 0.522 0.594
O11 0.208 0.403 0.933
O12 0.214 0.406 0.214
O13 0.282 0.095 0.791
O14 0.289 0.097 0.071
O15 0.301 0.977 0.410
O16 0.318 0.440 0.364
O17 0.358 0.903 0.934
O18 0.368 0.123 0.264
O19 0.383 0.343 0.594
O20 0.392 0.584 0.214
O21 0.428 0.594 0.790
O22 0.455 0.819 0.088
O23 0.464 0.272 0.071
O24 0.475 0.157 0.411
O25 0.528 0.843 0.586
O26 0.533 0.728 0.934
O27 0.541 0.180 0.917
O28 0.570 0.406 0.214
O29 0.607 0.415 0.785
O30 0.615 0.662 0.411
O31 0.625 0.875 0.739
O32 0.639 0.096 0.072
O33 0.680 0.560 0.639
O34 0.702 0.021 0.594
O35 0.708 0.903 0.934
O36 0.709 0.903 0.220
O37 0.782 0.594 0.790
O38 0.787 0.480 0.420
O39 0.789 0.597 0.071
O40 0.817 0.939 0.365
O41 0.857 0.403 0.933
O42 0.866 0.619 0.267
O43 0.883 0.841 0.594
O44 0.892 0.082 0.215
O45 0.926 0.095 0.791
O46 0.956 0.319 0.088
O47 0.963 0.772 0.072
O48 0.974 0.659 0.412
F1 0.140 0.713 0.722
F2 0.255 0.752 0.501
F3 0.364 0.789 0.288
F4 0.641 0.221 0.717
F5 0.748 0.254 0.504
F6 0.858 0.287 0.284

***

# 6
# Sc2ZnIr | the Materials Project | PBE | optimized geometry
# - Energy relative to the elements: -0.73 eV/atom
# - Space group: Fm-3m
data_Sc2ZnIr
_chemical_formula_sum 'Sc2 Zn1 Ir1'
_space_group_name_H-M_alt 'P 1'
_space_group_IT_number 1
_cell_length_a 4.642
_cell_length_b 4.642
_cell_length_c 4.642
_cell_angle_alpha 60.00
_cell_angle_beta 60.00
_cell_angle_gamma 60.00
loop_
_space_group_symop_operation_xyz
'x,y,z'
loop_
_atom_site_label
_atom_site_fract_x
_atom_site_fract_y
_atom_site_fract_z
Sc1 0.250 0.250 0.250
Sc2 0.750 0.750 0.750
Zn1 0.000 0.000 0.000
Ir1 0.500 0.500 0.500

***

# 7
# KNaSnF6 | the Materials Project | PBE | optimized geometry
# - Largest piezoelectric modulus: 0.16 C/m2
# - Energy relative to the elements: -3.02 eV/atom
# - Space group: Pna2_1
data_KNaSnF6
_chemical_formula_sum 'K4 Na4 Sn4 F24'
_space_group_name_H-M_alt 'P 1'
_space_group_IT_number 1
_cell_length_a 12.031
_cell_length_b 6.099
_cell_length_c 8.282
_cell_angle_alpha 90.00
_cell_angle_beta 90.00
_cell_angle_gamma 90.00
loop_
_space_group_symop_operation_xyz
'x,y,z'
loop_
_atom_site_label
_atom_site_fract_x
_atom_site_fract_y
_atom_site_fract_z
K1 0.042 0.038 0.000
K2 0.458 0.538 0.500
K3 0.542 0.462 0.000
K4 0.958 0.962 0.500
Na1 0.149 0.553 0.246
Na2 0.351 0.053 0.746
Na3 0.649 0.947 0.246
Na4 0.851 0.447 0.746
Sn1 0.137 0.549 0.744
Sn2 0.363 0.049 0.244
Sn3 0.637 0.951 0.744
Sn4 0.863 0.451 0.244
F1 0.009 0.291 0.281
F2 0.043 0.279 0.703
F3 0.127 0.646 0.514
F4 0.141 0.452 0.975
F5 0.210 0.831 0.808
F6 0.218 0.899 0.200
F7 0.282 0.399 0.700
F8 0.290 0.331 0.308
F9 0.359 0.952 0.475
F10 0.373 0.146 0.014
F11 0.457 0.779 0.203
F12 0.491 0.791 0.781
F13 0.509 0.209 0.281
F14 0.543 0.221 0.703
F15 0.627 0.854 0.514
F16 0.641 0.048 0.975
F17 0.710 0.669 0.808
F18 0.718 0.601 0.200
F19 0.782 0.101 0.700
F20 0.790 0.169 0.308
F21 0.859 0.548 0.475
F22 0.873 0.354 0.014
F23 0.957 0.721 0.203
F24 0.991 0.709 0.781

***

# 8
# Cs2SbF5 | the Materials Project | PBE | optimized geometry
# - Energy above the lowest structure with this stoichiometry: 0.0000 eV per atom
# - Energy relative to the elements: -2.92 eV/atom
# - Space group: Cmcm
data_Cs2SbF5
_chemical_formula_sum 'Cs4 Sb2 F10'
_space_group_name_H-M_alt 'P 1'
_space_group_IT_number 1
_cell_length_a 8.270
_cell_length_b 8.270
_cell_length_c 7.184
_cell_angle_alpha 90.00
_cell_angle_beta 90.00
_cell_angle_gamma 131.45
loop_
_space_group_symop_operation_xyz
'x,y,z'
loop_
_atom_site_label
_atom_site_fract_x
_atom_site_fract_y
_atom_site_fract_z
Cs1 0.066 0.934 0.750
Cs2 0.254 0.746 0.250
Cs3 0.746 0.254 0.750
Cs4 0.934 0.066 0.250
Sb1 0.405 0.595 0.750
Sb2 0.595 0.405 0.250
F1 0.162 0.397 0.546
F2 0.162 0.397 0.954
F3 0.272 0.728 0.750
F4 0.397 0.162 0.046
F5 0.397 0.162 0.454
F6 0.603 0.838 0.546
F7 0.603 0.838 0.954
F8 0.728 0.272 0.250
F9 0.838 0.603 0.046
F10 0.838 0.603 0.454

***

# 9
# Cs2SbCl6 | the Materials Project | PBE | optimized geometry
# - Spin magnetization: 0.00 μB per formula unit
# - Energy relative to the elements: -1.78 eV/atom
# - Space group: I4_1/amd
data_Cs2SbCl6
_chemical_formula_sum 'Cs8 Sb4 Cl24'
_space_group_name_H-M_alt 'P 1'
_space_group_IT_number 1
_cell_length_a 13.215
_cell_length_b 13.215
_cell_length_c 13.215
_cell_angle_alpha 132.03
_cell_angle_beta 132.03
_cell_angle_gamma 70.18
loop_
_space_group_symop_operation_xyz
'x,y,z'
loop_
_atom_site_label
_atom_site_fract_x
_atom_site_fract_y
_atom_site_fract_z
Cs1 0.000 0.225 0.225
Cs2 0.000 0.775 0.775
Cs3 0.225 0.000 0.725
Cs4 0.225 0.500 0.225
Cs5 0.500 0.225 0.725
Cs6 0.500 0.775 0.275
Cs7 0.775 0.000 0.275
Cs8 0.775 0.500 0.775
Sb1 0.125 0.875 0.250
Sb2 0.375 0.625 0.750
Sb3 0.625 0.375 0.250
Sb4 0.875 0.125 0.750
Cl1 0.002 0.752 0.250
Cl2 0.127 0.130 0.997
Cl3 0.130 0.127 0.497
Cl4 0.130 0.633 0.003
Cl5 0.147 0.624 0.522
Cl6 0.248 0.998 0.250
Cl7 0.262 0.512 0.750
Cl8 0.367 0.870 0.497
Cl9 0.376 0.398 0.522
Cl10 0.376 0.853 0.978
Cl11 0.398 0.376 0.022
Cl12 0.488 0.738 0.750
Cl13 0.512 0.262 0.250
Cl14 0.602 0.624 0.978
Cl15 0.624 0.147 0.022
Cl16 0.624 0.602 0.478
Cl17 0.633 0.130 0.503
Cl18 0.738 0.488 0.250
Cl19 0.752 0.002 0.750
Cl20 0.853 0.376 0.478
Cl21 0.870 0.367 0.997
Cl22 0.870 0.873 0.503
Cl23 0.873 0.870 0.003
Cl24 0.998 0.248 0.750

***

# 10
# Cs13Nb2In6As10 | the Materials Project | PBE | optimized geometry
# - Spin magnetization: 0.90 μB per formula unit
# - Energy relative to the elements: -0.43 eV/atom
# - Space group: P-1
data_Cs13Nb2In6As10
_chemical_formula_sum 'Cs13 Nb2 In6 As10'
_space_group_name_H-M_alt 'P 1'
_space_group_IT_number 1
_cell_length_a 9.922
_cell_length_b 9.975
_cell_length_c 14.264
_cell_angle_alpha 83.23
_cell_angle_beta 80.51
_cell_angle_gamma 64.62
loop_
_space_group_symop_operation_xyz
'x,y,z'
loop_
_atom_site_label
_atom_site_fract_x
_atom_site_fract_y
_atom_site_fract_z
Cs1 0.000 0.000 0.000
Cs2 0.004 0.634 0.645
Cs3 0.188 0.573 0.915
Cs4 0.246 0.184 0.592
Cs5 0.352 0.083 0.880
Cs6 0.392 0.359 0.171
Cs7 0.411 0.724 0.569
Cs8 0.589 0.276 0.431
Cs9 0.608 0.641 0.829
Cs10 0.648 0.917 0.120
Cs11 0.754 0.816 0.408
Cs12 0.812 0.427 0.085
Cs13 0.996 0.366 0.355
Nb1 0.123 0.760 0.225
Nb2 0.877 0.240 0.775
In1 0.107 0.945 0.410
In2 0.222 0.058 0.174
In3 0.466 0.696 0.293
In4 0.534 0.304 0.707
In5 0.778 0.942 0.826
In6 0.893 0.055 0.590
As1 0.000 0.367 0.840
As2 0.000 0.633 0.160
As3 0.057 0.964 0.746
As4 0.210 0.637 0.384
As5 0.352 0.755 0.113
As6 0.359 0.008 0.349
As7 0.641 0.992 0.651
As8 0.648 0.245 0.887
As9 0.790 0.363 0.616
As10 0.943 0.036 0.254

***

# 11
# La4Co | the Materials Project | PBE | optimized geometry
# - Energy relative to the elements: 0.19 eV/atom
# - Space group: Fd-3m
data_La4Co
_chemical_formula_sum 'La8 Co2'
_space_group_name_H-M_alt 'P 1'
_space_group_IT_number 1
_cell_length_a 7.860
_cell_length_b 7.860
_cell_length_c 7.860
_cell_angle_alpha 60.00
_cell_angle_beta 60.00
_cell_angle_gamma 60.00
loop_
_space_group_symop_operation_xyz
'x,y,z'
loop_
_atom_site_label
_atom_site_fract_x
_atom_site_fract_y
_atom_site_fract_z
La1 0.226 0.758 0.758
La2 0.242 0.242 0.242
La3 0.242 0.242 0.774
La4 0.242 0.774 0.242
La5 0.758 0.226 0.758
La6 0.758 0.758 0.226
La7 0.758 0.758 0.758
La8 0.774 0.242 0.242
Co1 0.375 0.375 0.375
Co2 0.625 0.625 0.625

***

# 12
# SrHfRe2 | the Materials Project | PBE | optimized geometry
# - Energy relative to the elements: 0.83 eV/atom
# - Space group: F-43m
data_SrHfRe2
_chemical_formula_sum 'Sr1 Hf1 Re2'
_space_group_name_H-M_alt 'P 1'
_space_group_IT_number 1
_cell_length_a 4.771
_cell_length_b 4.771
_cell_length_c 4.771
_cell_angle_alpha 60.00
_cell_angle_beta 60.00
_cell_angle_gamma 60.00
loop_
_space_group_symop_operation_xyz
'x,y,z'
loop_
_atom_site_label
_atom_site_fract_x
_atom_site_fract_y
_atom_site_fract_z
Sr1 0.000 0.000 0.000
Hf1 0.250 0.250 0.250
Re1 0.500 0.500 0.500
Re2 0.750 0.750 0.750

***

Ordered calculated volume results: 14.878; 20.477; 24.344; 17.230; 13.334; 17.680; 16.878; 23.015; 34.667; 40.524; 34.336; 19.197; unit Å³/atom.